This record from the Materials Project database describes crystalline La2TeI2 at its relaxed geometry. The functional is meta-GGA r2SCAN.

Output
- E_tot (eV per cell) = -142.744
- symmetry = R-3m, No. 166
- ρ (g/cm3) = 5.458
- ΔH_f (0 K) (meV/atom) = -1744
- size of the total moment (Bohr magnetons per cell) = 0.0

Structure (POSCAR):
```
La2TeI2
1.0
-5.5363 9.3523 3.4827
-8.7744 6.1605 3.9119
-5.6933 6.7483 7.2313
Te I La
1 2 2
Direct
0.5000 0.5000 0.5000
0.7198 0.7198 0.7198
0.2802 0.2802 0.2802
0.8861 0.8861 0.8861
0.1139 0.1139 0.1139
```

=====

This record from the Materials Project database describes crystalline LiIO3 at its relaxed geometry. The functional is meta-GGA r2SCAN.

Output
- E_tot (eV per cell) = -200.534
- symmetry = Pna2_1, No. 33
- ρ (g/cm3) = 4.304
- ΔH_f (0 K) (meV/atom) = -1054
- size of the total moment (Bohr magnetons per cell) = 0.0

Structure (POSCAR):
```
LiIO3
1.0
5.1810 0.0000 0.0000
0.0000 5.8027 0.0000
0.0000 0.0000 9.3336
I Li O
4 4 12
Direct
0.0144 0.5751 0.8183
0.5144 0.0751 0.6817
0.5144 0.4249 0.1817
0.0144 0.9249 0.3183
0.9751 0.0842 0.9813
0.4751 0.5842 0.5187
0.4751 0.9158 0.0187
0.9751 0.4158 0.4813
0.1909 0.6730 0.3757
0.1729 0.3544 0.9235
0.1909 0.8270 0.8757
0.1799 0.9715 0.1511
0.6909 0.1730 0.1243
0.6729 0.8544 0.5765
0.1729 0.1456 0.4235
0.6909 0.3270 0.6243
0.6729 0.6456 0.0765
0.6799 0.0285 0.8489
0.6799 0.4715 0.3489
0.1799 0.5285 0.6511
```

=====

This record from the Materials Project database describes crystalline LiIO3 at its relaxed geometry. The functional is meta-GGA r2SCAN.

Output
- E_tot (eV per cell) = -100.275
- symmetry = P6_3, No. 173
- ρ (g/cm3) = 4.608
- ΔH_f (0 K) (meV/atom) = -1055
- size of the total moment (Bohr magnetons per cell) = 0.0

Structure (POSCAR):
```
LiIO3
1.0
5.4513 -0.0004 -0.0003
-2.7260 4.7220 -0.0002
-0.0003 -0.0005 5.0912
I O Li
2 6 2
Direct
0.6666 0.3334 0.5048
0.3334 0.6666 0.0047
0.0940 0.7535 0.8362
0.9061 0.2465 0.3363
0.3402 0.0938 0.3363
0.2465 0.3403 0.8361
0.6597 0.9062 0.8362
0.7535 0.6596 0.3361
0.9999 0.9999 0.5774
0.0002 0.0002 0.0775
```

=====

This record from the Materials Project database describes crystalline LiIO3 at its relaxed geometry. The functional is meta-GGA r2SCAN.

Output
- E_tot (eV per cell) = -401.135
- symmetry = P4_2/n, No. 86
- ρ (g/cm3) = 4.259
- ΔH_f (0 K) (meV/atom) = -1056
- size of the total moment (Bohr magnetons per cell) = 0.0

Structure (POSCAR):
```
LiIO3
1.0
9.5781 0.0000 0.0000
0.0000 9.5781 0.0000
0.0000 0.0000 6.1823
O Li I
24 8 8
Direct
0.3667 0.0823 0.8011
0.6964 0.4007 0.9185
0.6639 0.4606 0.3513
0.6333 0.9177 0.8011
0.4606 0.3361 0.6487
0.5394 0.6639 0.6487
0.8036 0.0993 0.5815
0.3361 0.5394 0.3513
0.9177 0.3667 0.1989
0.1964 0.9007 0.5815
0.8361 0.0394 0.1487
0.5993 0.6964 0.0815
0.1639 0.9606 0.1487
0.3036 0.5993 0.9185
0.4007 0.3036 0.0815
0.9007 0.8036 0.4185
0.0394 0.1639 0.8513
0.9606 0.8361 0.8513
0.0993 0.1964 0.4185
0.4177 0.8667 0.3011
0.8667 0.5823 0.6989
0.1333 0.4177 0.6989
0.0823 0.6333 0.1989
0.5823 0.1333 0.3011
0.3250 0.4869 0.6516
0.8250 0.9869 0.8484
0.6750 0.5131 0.6516
0.0131 0.8250 0.1516
0.5131 0.3250 0.3484
0.1750 0.0131 0.8484
0.9869 0.1750 0.1516
0.4869 0.6750 0.3484
0.9940 0.7149 0.6327
0.0060 0.2851 0.6327
0.7851 0.4940 0.1327
0.7149 0.0060 0.3673
0.5060 0.7851 0.8673
0.2851 0.9940 0.3673
0.4940 0.2149 0.8673
0.2149 0.5060 0.1327
```

=====

This record from the Materials Project database describes crystalline Li2UI6 at its relaxed geometry. The functional is meta-GGA r2SCAN.

Output
- E_tot (eV per cell) = -487.005
- symmetry = P1, No. 1
- ρ (g/cm3) = 4.880
- ΔH_f (0 K) (meV/atom) = -1271
- size of the total moment (Bohr magnetons per cell) = 0.0

Structure (POSCAR):
```
Li2UI6
1.0
-7.3727 -0.7463 1.0770
3.5734 -4.5195 -4.7012
2.5172 -9.1781 10.7206
I Li U
12 4 2
Direct
0.9995 0.3327 0.6309
0.6658 0.9994 0.3700
0.3332 0.3329 0.8691
0.3334 0.9993 0.1300
0.0017 0.3336 0.1302
0.3320 0.3337 0.3698
0.3313 0.0006 0.6299
0.9981 0.6674 0.3697
0.6652 0.6661 0.6297
0.6695 0.6676 0.1303
0.0009 0.6662 0.8705
0.6690 0.0004 0.8701
0.0006 0.0001 0.7498
0.6687 0.3372 0.2500
0.9980 0.9964 0.2499
0.3330 0.6663 0.7500
0.6667 0.3333 0.7501
0.3334 0.6668 0.2500
```

=====

This record from the Materials Project database describes crystalline LuI3 at its relaxed geometry. The functional is meta-GGA r2SCAN.

Output
- E_tot (eV per cell) = -235.336
- symmetry = P6_3/mmc, No. 194
- ρ (g/cm3) = 4.397
- ΔH_f (0 K) (meV/atom) = -1478
- size of the total moment (Bohr magnetons per cell) = 0.0

Structure (POSCAR):
```
LuI3
1.0
-5.3182 4.8618 8.4767
6.6191 -8.7447 1.8676
3.0393 2.4122 0.5232
I Lu
6 2
Direct
0.7843 0.5686 0.7500
0.2157 0.4314 0.2500
0.2157 0.7843 0.2500
0.7843 0.2157 0.7500
0.5686 0.7843 0.2500
0.4313 0.2157 0.7500
0.3333 0.6667 0.7500
0.6667 0.3333 0.2500
```